PrGa2 | PBE-GGA | relaxed

abc: 4.301 4.301 4.351
angles: 90.00 90.00 120.00
Positions (direct):
Pr: 0.000 0.000 0.000
Ga: 0.667 0.333 0.500
Ga: 0.333 0.667 0.500

Values from the calculation:
**Formation enthalpy at 0 K**: -201 kJ/mol of formula units

Pr3Ga | PBE-GGA | relaxed

abc: 4.903 4.903 4.903
angles: 90.00 90.00 90.00
Positions (direct):
Pr: 0.000 0.500 0.500
Pr: 0.500 0.500 0.000
Pr: 0.500 0.000 0.500
Ga: 0.000 0.000 0.000

Values from the calculation:
**Formation enthalpy at 0 K**: -90 kJ/mol of formula units

Pr5Ga3 | PBE-GGA | relaxed

abc: 5.819 9.276 9.276
angles: 84.36 71.72 71.72
Positions (direct):
Pr: 0.722 0.862 0.694
Pr: 0.278 0.138 0.306
Pr: 0.778 0.306 0.138
Pr: 0.222 0.694 0.862
Pr: 0.584 0.694 0.138
Pr: 0.416 0.306 0.862
Pr: 0.084 0.138 0.694
Pr: 0.916 0.862 0.306
Pr: 0.750 0.500 0.500
Pr: 0.250 0.500 0.500
Ga: 0.162 0.500 0.176
Ga: 0.838 0.500 0.824
Ga: 0.338 0.824 0.500
Ga: 0.662 0.176 0.500
Ga: 0.250 0.000 0.000
Ga: 0.750 0.000 0.000

Values from the calculation:
**Formation enthalpy at 0 K**: -326 kJ/mol of formula units
**E above lowest polymorph**: 0.0157 eV per atom

Pr5Ga3 | PBE-GGA | relaxed

abc: 7.972 7.972 14.718
angles: 90.00 90.00 90.00
Positions (direct):
Pr: 0.816 0.840 0.603
Pr: 0.184 0.840 0.103
Pr: 0.160 0.816 0.397
Pr: 0.000 0.500 0.720
Pr: 0.840 0.184 0.397
Pr: 0.684 0.660 0.397
Pr: 0.660 0.316 0.603
Pr: 0.340 0.684 0.603
Pr: 0.000 0.500 0.220
Pr: 0.660 0.684 0.103
Pr: 0.684 0.340 0.897
Pr: 0.840 0.816 0.897
Pr: 0.316 0.340 0.397
Pr: 0.184 0.160 0.603
Pr: 0.816 0.160 0.103
Pr: 0.316 0.660 0.897
Pr: 0.340 0.316 0.103
Pr: 0.500 0.000 0.280
Pr: 0.160 0.184 0.897
Pr: 0.500 0.000 0.780
Ga: 0.619 0.381 0.250
Ga: 0.119 0.881 0.750
Ga: 0.381 0.381 0.750
Ga: 0.381 0.619 0.250
Ga: 0.881 0.881 0.250
Ga: 0.619 0.619 0.750
Ga: 0.000 0.500 0.504
Ga: 0.881 0.119 0.750
Ga: 0.500 0.000 0.496
Ga: 0.500 0.000 0.996
Ga: 0.119 0.119 0.250
Ga: 0.000 0.500 0.004

Values from the calculation:
**Formation enthalpy at 0 K**: -338 kJ/mol of formula units
**E above lowest polymorph**: 0.0000 eV per atom

PrGa3 | PBE-GGA | relaxed

abc: 6.517 6.517 4.623
angles: 90.00 90.00 120.00
Positions (direct):
Pr: 0.333 0.667 0.750
Pr: 0.667 0.333 0.250
Ga: 0.142 0.285 0.250
Ga: 0.715 0.858 0.250
Ga: 0.142 0.858 0.250
Ga: 0.858 0.715 0.750
Ga: 0.285 0.142 0.750
Ga: 0.858 0.142 0.750

Values from the calculation:
**Formation enthalpy at 0 K**: -222 kJ/mol of formula units

Pr2Ga | PBE-GGA | relaxed

abc: 5.056 6.831 10.044
angles: 90.00 90.00 90.00
Positions (direct):
Pr: 0.250 0.823 0.938
Pr: 0.750 0.557 0.804
Pr: 0.750 0.057 0.696
Pr: 0.750 0.177 0.062
Pr: 0.750 0.677 0.438
Pr: 0.250 0.943 0.304
Pr: 0.250 0.443 0.196
Pr: 0.250 0.323 0.562
Ga: 0.750 0.715 0.121
Ga: 0.250 0.285 0.879
Ga: 0.750 0.215 0.379
Ga: 0.250 0.785 0.621

Values from the calculation:
**Formation enthalpy at 0 K**: -107 kJ/mol of formula units

Q: formation enthalpy at 0 K of number 5 (PrGa3)?
A: -222 kJ/mol of formula units

Q: Which of these has the lowest formation enthalpy at 0 K?
A: number 4